1.
## RbTaCu2Se4 (PBE)

Data for crystalline RbTaCu2Se4 at its relaxed geometry.

Cell lengths 10.2526, 10.2526, 7.8632 Å; angles 90.00, 90.00, 147.43 degrees
Positions (direct):
Rb  0.1179  0.4856  0.2500
Ta  0.4386  0.6507  0.7500
Ta  0.6507  0.4386  0.2500
Rb  0.4856  0.1179  0.7500
Se  0.0903  0.5010  0.7500
Se  0.8959  0.6864  0.5028
Cu  0.5590  0.5590  0.0000
Se  0.3022  0.2962  0.2500
Se  0.5010  0.0903  0.2500
Se  0.6864  0.8959  0.0028
Cu  0.1483  0.9398  0.2500
Se  0.2962  0.3022  0.7500
Se  0.8959  0.6864  0.9972
Cu  0.9398  0.1483  0.7500
Cu  0.5590  0.5590  0.5000
Se  0.6864  0.8959  0.4972

Calculated values
The value obtained for the volume is 27.81 A^3/atom. As for the raw total energy: -41.036 eV per formula unit. The piezoelectric modulus e_max is 0.3 C/m². Its calculated formation energy is -0.988 eV/atom.

=====

2.
## RbTiCu3Se4 (PBE)

Data for crystalline RbTiCu3Se4 at its relaxed geometry.

Cell lengths 6.2020, 6.2020, 6.2020 Å; angles 90.00, 90.00, 90.00 degrees
Positions (direct):
Cu  0.5000  0.0000  0.0000
Se  0.2204  0.2204  0.2204
Ti  0.0000  0.0000  0.0000
Rb  0.5000  0.5000  0.5000
Se  0.7796  0.7796  0.2204
Cu  0.0000  0.0000  0.5000
Se  0.7796  0.2204  0.7796
Cu  0.0000  0.5000  0.0000
Se  0.2204  0.7796  0.7796

Calculated values
The value obtained for the volume is 26.51 A^3/atom. As for the raw total energy: -40.641 eV per formula unit. Its calculated formation energy is -0.819 eV/atom.

=====

3.
## RbVCu3Se4 (PBE)

Data for crystalline RbVCu3Se4 at its relaxed geometry.

Cell lengths 6.1591, 6.1591, 6.1591 Å; angles 90.00, 90.00, 90.00 degrees
Positions (direct):
Cu  0.0000  0.0000  0.5000
V  0.0000  0.0000  0.0000
Cu  0.5000  0.0000  0.0000
Cu  0.0000  0.5000  0.0000
Rb  0.5000  0.5000  0.5000
Se  0.2178  0.7822  0.7822
Se  0.7822  0.2178  0.7822
Se  0.2178  0.2178  0.2178
Se  0.7822  0.7822  0.2178

Calculated values
The value obtained for the volume is 25.96 A^3/atom. As for the raw total energy: -40.250 eV per formula unit. Its calculated formation energy is -0.644 eV/atom.

=====

4.
## RbZrCu3Se4 (PBE)

Data for crystalline RbZrCu3Se4 at its relaxed geometry.

Cell lengths 6.3489, 6.3489, 6.3489 Å; angles 90.00, 90.00, 90.00 degrees
Positions (direct):
Rb  0.5000  0.5000  0.5000
Se  0.7726  0.7726  0.2274
Cu  0.0000  0.5000  0.0000
Se  0.2274  0.7726  0.7726
Se  0.2274  0.2274  0.2274
Cu  0.5000  0.0000  0.0000
Se  0.7726  0.2274  0.7726
Zr  0.0000  0.0000  0.0000
Cu  0.0000  0.0000  0.5000

Calculated values
The value obtained for the volume is 28.44 A^3/atom. As for the raw total energy: -41.181 eV per formula unit. Its calculated formation energy is -0.807 eV/atom.

=====

5.
## RbTaCu2Te4 (PBE)

Data for crystalline RbTaCu2Te4 at its relaxed geometry.

Cell lengths 6.0243, 8.2506, 20.4924 Å; angles 90.00, 90.00, 90.00 degrees
Positions (direct):
Te  0.7576  0.2536  0.2491
Cu  0.4886  0.5035  0.2492
Ta  0.9995  0.2447  0.8549
Cu  0.4886  0.0035  0.2508
Ta  0.9995  0.7447  0.6451
Te  0.7470  0.4836  0.6447
Te  0.7576  0.7536  0.2509
Cu  0.5001  0.2449  0.8551
Cu  0.0001  0.2551  0.3551
Ta  0.4995  0.2553  0.3549
Te  0.7470  0.9836  0.8553
Te  0.7472  0.5058  0.8573
Te  0.2576  0.7464  0.7509
Te  0.2493  0.7411  0.5400
Rb  0.7427  0.2565  0.0634
Rb  0.2427  0.7435  0.9366
Te  0.2470  0.5164  0.3553
Cu  0.5001  0.7449  0.6449
Te  0.2576  0.2464  0.7491
Rb  0.2427  0.2435  0.5634
Te  0.2470  0.0164  0.1447
Cu  0.0001  0.7551  0.1449
Te  0.2472  0.4942  0.1427
Ta  0.4995  0.7553  0.1451
Cu  0.9886  0.4965  0.7508
Te  0.7493  0.7589  0.0400
Te  0.7493  0.2589  0.4600
Te  0.7472  0.0058  0.6427
Te  0.2472  0.9942  0.3573
Te  0.2493  0.2411  0.9600
Cu  0.9886  0.9965  0.7492
Rb  0.7427  0.7565  0.4366

Calculated values
The value obtained for the volume is 31.83 A^3/atom. As for the raw total energy: -37.232 eV per formula unit. Its calculated formation energy is -0.664 eV/atom.

=====

6.
## RbTaCu2Te4 (PBE)

Data for crystalline RbTaCu2Te4 at its relaxed geometry.

Cell lengths 6.1041, 8.4396, 10.8967 Å; angles 90.00, 106.27, 90.00 degrees
Positions (direct):
Te  0.2109  0.7500  0.9161
Cu  0.8549  0.7500  0.7101
Te  0.7948  0.2500  0.0839
Te  0.9965  0.2500  0.4987
Ta  0.1460  0.2500  0.2912
Te  0.9978  0.7500  0.5013
Cu  0.2614  0.5000  0.5000
Rb  0.8210  0.7500  0.1270
Cu  0.2614  0.0000  0.5000
Te  0.6051  0.0069  0.7112
Te  0.3939  0.9931  0.2888
Ta  0.3548  0.7500  0.7088
Cu  0.6447  0.2500  0.2899
Rb  0.1940  0.2500  0.8730
Te  0.3939  0.5069  0.2888
Te  0.6051  0.4931  0.7112

Calculated values
The value obtained for the volume is 33.68 A^3/atom. As for the raw total energy: -37.232 eV per formula unit. Its calculated formation energy is -0.664 eV/atom.

=====

7.
## Cu2Re3S6 (PBE)

Data for crystalline Cu2Re3S6 at its relaxed geometry.

Cell lengths 9.3378, 9.3378, 11.7732 Å; angles 87.81, 87.81, 61.69 degrees
Positions (direct):
Re  0.4818  0.1175  0.1282
S  0.5856  0.2671  0.0068
S  0.2671  0.5856  0.5068
S  0.6962  0.7912  0.4310
S  0.5381  0.7278  0.6972
Re  0.7019  0.9810  0.9664
Re  0.1938  0.4041  0.4136
S  0.7912  0.6962  0.9310
S  0.3038  0.2088  0.5690
Cu  0.9066  0.0934  0.2500
Re  0.8062  0.5959  0.5864
S  0.7278  0.5381  0.1972
S  0.3873  0.9449  0.2272
Re  0.9810  0.7019  0.4664
Re  0.4041  0.1938  0.9136
S  0.9735  0.9447  0.9262
Re  0.5182  0.8825  0.8718
S  0.4144  0.7329  0.9932
S  0.0807  0.2429  0.3344
S  0.9447  0.9735  0.4262
S  0.7329  0.4144  0.4932
S  0.4619  0.2722  0.3028
S  0.9449  0.3873  0.7272
Re  0.2981  0.0190  0.0336
S  0.6127  0.0551  0.7728
Re  0.0190  0.2981  0.5336
Cu  0.1305  0.6841  0.9007
S  0.0551  0.6127  0.2728
Re  0.5959  0.8062  0.0864
Re  0.1175  0.4818  0.6282
S  0.0265  0.0553  0.0738
S  0.7571  0.9193  0.1656
S  0.0553  0.0265  0.5738
S  0.9193  0.7571  0.6656
Cu  0.0934  0.9066  0.7500
Cu  0.6841  0.1305  0.4007
Re  0.8825  0.5182  0.3718
S  0.2088  0.3038  0.0690
Cu  0.6042  0.3958  0.2500
S  0.2722  0.4619  0.8028
Cu  0.3958  0.6042  0.7500
Cu  0.3159  0.8695  0.5993
Cu  0.8695  0.3159  0.0993
S  0.2429  0.0807  0.8344

Calculated values
The value obtained for the volume is 20.52 A^3/atom. As for the raw total energy: -74.466 eV per formula unit. Its calculated formation energy is -0.648 eV/atom.

=====

8.
## Cu2Re3Se6 (PBE)

Data for crystalline Cu2Re3Se6 at its relaxed geometry.

Cell lengths 9.7512, 9.7512, 12.2142 Å; angles 85.28, 85.28, 61.50 degrees
Positions (direct):
Cu  0.3274  0.8788  0.0944
Se  0.4576  0.2696  0.7980
Se  0.9768  0.9422  0.4159
Se  0.0578  0.0232  0.0841
Cu  0.1212  0.6726  0.4056
Re  0.8874  0.5184  0.8775
Se  0.2420  0.0850  0.3362
Cu  0.5838  0.4162  0.7500
Se  0.2048  0.3084  0.5700
Cu  0.8450  0.1550  0.7500
Se  0.0232  0.0578  0.5841
Re  0.5921  0.8118  0.5862
Se  0.2696  0.4576  0.2980
Se  0.2687  0.5882  0.9986
Se  0.6157  0.0600  0.2644
Se  0.7304  0.5424  0.7020
Re  0.4816  0.1126  0.6225
Se  0.5424  0.7304  0.2020
Se  0.7952  0.6916  0.4300
Se  0.4118  0.7313  0.5014
Se  0.7580  0.9150  0.6637
Re  0.3018  0.0196  0.5375
Re  0.5184  0.8874  0.3775
Re  0.8118  0.5921  0.0862
Se  0.0850  0.2420  0.8362
Se  0.3084  0.2048  0.0700
Se  0.0600  0.6157  0.7644
Se  0.3843  0.9400  0.7356
Re  0.1126  0.4816  0.1225
Re  0.0196  0.3018  0.0375
Re  0.6982  0.9804  0.4625
Se  0.6916  0.7952  0.9300
Cu  0.1550  0.8450  0.2500
Cu  0.8788  0.3274  0.5944
Re  0.4079  0.1882  0.4138
Se  0.5882  0.2687  0.4986
Cu  0.4162  0.5838  0.2500
Se  0.9422  0.9768  0.9159
Se  0.9150  0.7580  0.1638
Se  0.7313  0.4118  0.0014
Re  0.1882  0.4079  0.9138
Re  0.9804  0.6982  0.9625
Cu  0.6726  0.1212  0.9056
Se  0.9400  0.3843  0.2356

Calculated values
The value obtained for the volume is 23.09 A^3/atom. As for the raw total energy: -69.333 eV per formula unit. Its calculated formation energy is -0.514 eV/atom.

=====

9.
## Ta2CuRe2Se8 (PBE)

Data for crystalline Ta2CuRe2Se8 at its relaxed geometry.

Cell lengths 3.4648, 3.4648, 26.6991 Å; angles 90.00, 90.00, 120.00 degrees
Positions (direct):
Re  0.3333  0.6667  0.6250
Se  0.6667  0.3333  0.1863
Se  0.0000  0.0000  0.3121
Se  0.6667  0.3333  0.5663
Re  0.3333  0.6667  0.1207
Se  0.6667  0.3333  0.0638
Se  0.0000  0.0000  0.9378
Se  0.6667  0.3333  0.6837
Ta  0.3333  0.6667  0.8750
Cu  0.3333  0.6667  0.2528
Ta  0.3333  0.6667  0.3760
Se  0.0000  0.0000  0.4384
Se  0.0000  0.0000  0.8121

Calculated values
The value obtained for the volume is 21.35 A^3/atom. As for the raw total energy: -85.041 eV per formula unit. Its calculated formation energy is -0.627 eV/atom.

=====

10.
## Ti2CuRe (PBE)

Data for crystalline Ti2CuRe at its relaxed geometry.

Cell lengths 4.3848, 4.3848, 4.3848 Å; angles 60.00, 60.00, 60.00 degrees
Positions (direct):
Re  0.0000  0.0000  0.0000
Ti  0.7500  0.7500  0.7500
Cu  0.5000  0.5000  0.5000
Ti  0.2500  0.2500  0.2500

Calculated values
The value obtained for the volume is 14.90 A^3/atom. As for the raw total energy: -33.418 eV per formula unit. Its calculated formation energy is -0.271 eV/atom.

=====

11.
## Zr2CuRe (PBE)

Data for crystalline Zr2CuRe at its relaxed geometry.

Cell lengths 4.6703, 4.6703, 4.6703 Å; angles 60.00, 60.00, 60.00 degrees
Positions (direct):
Zr  0.7500  0.7500  0.7500
Zr  0.2500  0.2500  0.2500
Cu  0.5000  0.5000  0.5000
Re  0.0000  0.0000  0.0000

Calculated values
The value obtained for the volume is 18.01 A^3/atom. As for the raw total energy: -34.499 eV per formula unit. Its calculated formation energy is -0.215 eV/atom.

=====

12.
## Cu3Rh (PBE)

Data for crystalline Cu3Rh at its relaxed geometry.

Cell lengths 5.2741, 5.2741, 4.2659 Å; angles 90.00, 90.00, 120.00 degrees
Positions (direct):
Rh  0.6667  0.3333  0.2500
Cu  0.1636  0.3272  0.2500
Rh  0.3333  0.6667  0.7500
Cu  0.3272  0.1636  0.7500
Cu  0.6728  0.8364  0.2500
Cu  0.1636  0.8364  0.2500
Cu  0.8364  0.1636  0.7500
Cu  0.8364  0.6728  0.7500

Calculated values
The value obtained for the volume is 12.85 A^3/atom. As for the raw total energy: -19.478 eV per formula unit. Its calculated formation energy is 0.046 eV/atom.